# CsPH2O2

Crystalline CsPH2O2 at its relaxed geometry (PBE-GGA, Materials Project). Values from VASP.

Values from the calculation:
Corrected total energy (MP2020 scheme): -129.42 eV per cell
Energy relative to the elements: -1.561 eV per atom

The structure in Quantum ESPRESSO input format:
```
&SYSTEM
  ibrav = 0, nat = 24, ntyp = 4
/
ATOMIC_SPECIES
Cs 132.91 Cs.upf
P 30.97 P.upf
H 1.01 H.upf
O 16.00 O.upf
ATOMIC_POSITIONS angstrom
Cs 1.1428 1.7038 1.1145
Cs 3.1165 5.1115 5.2029
Cs 5.4020 1.7038 2.9739
Cs 7.3758 5.1115 7.0624
P 0.9481 1.7038 5.4844
P 3.3112 5.1115 1.3959
P 5.2073 1.7038 6.7809
P 7.5705 5.1115 2.6925
H 0.2148 5.1115 3.5262
H 2.0003 1.7038 4.5094
H 2.2590 5.1115 0.4210
H 4.0445 1.7038 7.6147
H 4.4741 5.1115 0.5622
H 6.2595 1.7038 7.7559
H 6.5183 5.1115 3.6675
H 8.3037 1.7038 4.6506
O 1.0033 0.3882 6.2417
O 1.0033 3.0194 6.2417
O 3.2560 3.7959 2.1533
O 3.2560 6.4271 2.1533
O 5.2625 0.3882 6.0236
O 5.2625 3.0194 6.0236
O 7.5153 3.7959 1.9351
O 7.5153 6.4271 1.9351
CELL_PARAMETERS angstrom
8.5185 0.0000 0.0000
0.0000 6.8153 0.0000
0.0000 0.0000 8.1769
```